A plane-wave DFT calculation with GGA-PBE was carried out for a relaxed K3NaSe2O8 crystal.

Cell: 5.983 5.983 15.410 Å, 89.87 89.87 59.98°
Element x y z (fractional)
1 O 0.387 0.277 0.762
2 K 0.644 0.695 0.907
3 O 0.845 0.325 0.118
4 O 0.277 0.387 0.262
5 O 0.141 0.229 0.906
6 O 0.723 0.613 0.738
7 K 0.695 0.644 0.407
8 Se 0.683 0.646 0.134
9 K 0.356 0.305 0.093
10 Se 0.317 0.354 0.866
11 K 0.053 0.947 0.250
12 K 0.947 0.053 0.750
13 O 0.227 0.594 0.423
14 Na 0.000 0.000 0.000
15 K 0.305 0.356 0.593
16 O 0.771 0.859 0.594
17 O 0.859 0.771 0.094
18 O 0.594 0.227 0.923
19 O 0.229 0.141 0.406
20 Se 0.646 0.683 0.634
21 O 0.773 0.406 0.577
22 O 0.613 0.723 0.238
23 O 0.406 0.773 0.077
24 O 0.325 0.845 0.618
25 O 0.675 0.155 0.382
26 Se 0.354 0.317 0.366
27 O 0.155 0.675 0.882
28 Na 0.000 0.000 0.500

Properties
Final energy ... -5.064 eV per atom
Distance to the lowest polymorph of the same formula ... 0 meV/atom
Formation enthalpy at 0 K ... -1.7976 eV per atom
SG ... No. 15